Record 1
The following is a PBE with a Hubbard U calculation of an optimized crystal structure of HoMnO3, from the Materials Project.

Properties
Magnetization ... 4.0 μB per formula unit
DFT formation energy ... -2.76 eV/atom
Symmetry ... No. 62
Energy with MP2020 corrections ... -8.48 eV/atom

POSCAR file:
```
HoMnO3
1.0
5.976 0.000 0.000
0.000 13.075 0.000
0.000 0.000 3.375
Ho Mn O
4 4 12
Cartesian
1.131 3.269 0.814
1.857 9.806 2.502
4.119 3.269 0.873
4.846 9.806 2.560
0.000 0.000 1.687
0.000 6.537 1.687
2.988 0.000 0.000
2.988 6.537 0.000
0.304 9.806 0.860
1.421 1.022 0.751
1.421 5.515 0.751
1.567 7.560 2.439
1.567 12.052 2.439
2.685 3.269 2.548
3.292 9.806 0.827
4.409 1.022 0.936
4.409 5.515 0.936
4.555 7.560 2.623
4.555 12.052 2.623
5.673 3.269 2.514
```

=====

Record 2
The following is a PBE with a Hubbard U calculation of an optimized crystal structure of BaNdEuWO6, from the Materials Project.

Properties
Magnetization ... 8.0 μB per formula unit
DFT formation energy ... -3.05 eV/atom
Symmetry ... No. 2
Energy with MP2020 corrections ... -9.01 eV/atom

POSCAR file:
```
BaNdEuWO6
1.0
6.029 0.000 0.000
-0.069 6.053 0.000
-0.058 -0.003 8.598
Ba Nd Eu W O
2 2 2 2 12
Cartesian
0.021 0.179 2.144
5.881 5.871 6.454
-0.064 3.025 4.299
3.015 0.000 0.000
2.933 3.249 2.164
2.969 2.801 6.434
-0.035 3.026 0.000
2.986 -0.001 4.299
0.475 3.054 6.613
1.129 4.601 0.372
1.356 4.877 4.021
1.605 1.873 0.389
1.842 1.681 3.907
2.575 0.204 6.301
3.327 5.846 2.297
4.060 4.369 4.691
4.297 4.177 8.209
4.547 1.173 4.577
4.773 1.449 8.226
5.427 2.995 1.985
```

=====

Record 3
The following is a PBE with a Hubbard U calculation of an optimized crystal structure of CaP4W3O14, from the Materials Project.

Properties
Magnetization ... 10.0 μB per formula unit
DFT formation energy ... -2.19 eV/atom
Symmetry ... No. 14
Energy with MP2020 corrections ... -8.18 eV/atom

POSCAR file:
```
CaP4W3O14
1.0
8.066 0.000 0.000
0.000 7.369 0.000
-1.954 0.000 9.930
Ca P W O
2 8 6 28
Cartesian
0.000 0.000 0.000
-0.977 3.684 4.965
-0.758 0.700 6.785
0.219 2.984 1.820
2.414 5.028 1.763
1.437 6.025 6.728
4.674 1.344 3.202
3.697 2.341 8.167
5.893 4.384 8.110
6.870 6.669 3.145
1.633 1.112 4.481
0.656 2.572 9.446
4.033 0.000 0.000
3.056 3.684 4.965
5.456 4.796 0.484
4.479 6.257 5.449
-0.707 4.160 8.363
0.270 6.893 3.398
-0.083 1.695 5.806
0.894 1.989 0.841
-0.494 1.082 8.261
0.483 2.602 3.296
0.937 4.408 1.541
-0.040 6.645 6.506
1.324 4.659 6.026
2.301 6.394 1.061
2.727 5.000 3.238
1.750 6.053 8.203
3.389 4.066 0.998
2.412 6.987 5.963
3.699 0.382 3.966
2.722 3.302 8.931
4.361 1.316 1.727
3.384 2.369 6.691
3.810 0.974 8.868
4.787 2.710 3.903
6.152 0.724 3.423
5.175 2.961 8.388
5.629 4.767 6.633
6.606 6.286 1.669
5.217 5.379 9.089
6.194 5.674 4.124
5.842 0.475 6.532
6.819 3.209 1.567
```

=====

Record 4
The following is a PBE with a Hubbard U calculation of an optimized crystal structure of DyMgCuW2O8, from the Materials Project.

Properties
Magnetization ... 2.0 μB per formula unit
DFT formation energy ... -2.44 eV/atom
Symmetry ... No. 1
Energy with MP2020 corrections ... -8.27 eV/atom

POSCAR file:
```
DyMgCuW2O8
1.0
5.368 0.000 0.000
-2.647 5.305 0.000
-0.021 -2.080 5.720
Dy Mg Cu W O
1 1 1 2 8
Cartesian
0.000 0.000 0.000
2.713 -1.081 4.046
-0.037 3.642 0.853
0.130 1.236 3.571
2.793 1.980 1.914
-0.732 2.831 2.462
-0.708 2.378 4.983
0.817 -0.322 4.353
1.106 0.841 1.792
1.703 2.534 3.735
2.040 3.514 1.141
3.581 1.304 0.211
3.628 0.491 3.053
```

=====

Record 5
The following is a PBE with a Hubbard U calculation of an optimized crystal structure of Rb2CrAgF6, from the Materials Project.

Properties
Magnetization ... 3.0 μB per formula unit
DFT formation energy ... -2.74 eV/atom
Symmetry ... No. 225
Energy with MP2020 corrections ... -5.33 eV/atom

POSCAR file:
```
Rb2CrAgF6
1.0
0.000 4.389 4.389
4.389 0.000 4.389
4.389 4.389 0.000
Rb Cr Ag F
2 1 1 6
Cartesian
2.195 2.195 2.195
6.584 6.584 6.584
0.000 0.000 0.000
4.389 4.389 4.389
4.389 4.389 1.944
4.389 1.944 4.389
6.834 4.389 4.389
1.944 4.389 4.389
4.389 6.834 4.389
4.389 4.389 6.834
```

=====

Record 6
The following is a PBE with a Hubbard U calculation of an optimized crystal structure of Ti3VSn2P6O24, from the Materials Project.

Properties
Magnetization ... 3.0 μB per formula unit
DFT formation energy ... -2.81 eV/atom
Symmetry ... No. 146
Energy with MP2020 corrections ... -8.14 eV/atom

POSCAR file:
```
Ti3VSn2P6O24
1.0
4.310 2.488 7.692
-4.310 2.488 7.692
0.000 -4.976 7.692
Ti V Sn P O
3 1 2 6 24
Cartesian
0.000 0.000 0.000
0.000 0.000 4.800
0.000 0.000 11.772
0.000 0.000 16.268
0.000 0.000 8.503
0.000 0.000 19.392
-3.050 0.398 10.113
-1.245 -2.180 13.982
1.180 -2.841 10.113
-1.265 2.168 13.982
1.870 2.443 10.113
2.511 0.012 13.982
-0.803 -1.346 5.947
-3.337 1.187 8.824
-2.784 -2.232 14.177
-3.528 1.102 11.382
0.641 -3.483 8.824
-0.764 1.368 5.947
-1.490 0.231 10.227
0.810 -3.606 11.382
-1.004 -1.270 12.711
0.544 -1.406 10.227
1.567 -0.022 5.947
-0.518 -1.685 15.204
-1.584 -0.227 17.755
-0.598 1.504 12.711
-1.201 1.292 15.204
0.945 1.174 10.227
1.602 -0.234 12.711
-0.541 3.527 14.177
0.989 -1.258 17.755
2.696 2.296 8.824
1.719 0.394 15.204
3.325 -1.295 14.177
0.595 1.485 17.755
2.718 2.504 11.382
```